# 1
VASP calculation (GGA+U) on a geometry-optimized KVOF3 structure.

Structure (POSCAR):
```
KVOF3
1.0
6.938 -3.850 0.000
6.938 3.850 0.000
-1.878 0.000 7.119
K V O F
4 4 4 12
Cartesian
0.991 0.000 1.909
3.748 0.000 4.616
8.251 0.000 2.503
11.008 0.000 5.210
4.574 1.897 1.297
7.425 1.897 5.823
4.574 -1.897 1.297
7.425 -1.897 5.823
6.172 1.640 1.559
5.827 1.640 5.560
6.172 -1.640 1.559
5.827 -1.640 5.560
3.855 2.305 3.009
2.589 1.654 6.434
0.293 0.000 6.241
3.936 0.000 1.613
8.143 2.305 4.110
9.410 1.654 0.685
2.589 -1.654 6.434
3.855 -2.305 3.009
8.063 0.000 5.506
11.705 0.000 0.878
9.410 -1.654 0.685
8.143 -2.305 4.110
```

**Energy relative to the elements**: -17.89 eV per formula unit
**Corrected total energy (MP2020 scheme)**: -6.463 eV per atom
**Theoretical density**: 2.85 g/cm³

***

# 2
VASP calculation (GGA+U) on a geometry-optimized Na2LiMnF6 structure.

Structure (POSCAR):
```
Na2LiMnF6
1.0
0.000 3.932 3.932
3.932 0.000 3.932
3.932 3.932 0.000
Na Li Mn F
2 1 1 6
Cartesian
1.966 1.966 1.966
5.898 5.898 5.898
0.000 0.000 0.000
3.932 3.932 3.932
3.932 3.932 1.994
3.932 1.994 3.932
5.870 3.932 3.932
1.994 3.932 3.932
3.932 5.870 3.932
3.932 3.932 5.870
```

**Energy relative to the elements**: -28.76 eV per formula unit
**Corrected total energy (MP2020 scheme)**: -5.397 eV per atom
**Theoretical density**: 3.03 g/cm³

***

# 3
VASP calculation (GGA+U) on a geometry-optimized ZnCr6Si2Pb10O32F2 structure.

Structure (POSCAR):
```
ZnCr6Si2Pb10O32F2
1.0
9.654 0.000 0.000
3.564 9.465 0.000
3.076 3.301 9.092
Zn Cr Si Pb O F
1 6 2 10 32 2
Cartesian
0.000 0.000 0.000
6.818 9.590 4.368
3.219 1.574 0.105
6.434 4.093 1.977
9.860 8.673 7.115
13.075 11.191 8.988
9.476 3.176 4.724
3.490 7.224 2.643
12.804 5.542 6.449
3.251 3.622 3.192
6.686 9.310 8.475
6.020 6.364 5.276
5.407 2.637 6.455
6.611 7.652 1.571
9.683 5.114 7.521
10.887 10.129 2.637
10.274 6.402 3.816
9.608 3.456 0.617
13.043 9.143 5.900
4.032 6.951 6.414
3.780 7.679 1.067
2.396 2.913 0.737
4.106 4.476 5.607
5.749 10.100 3.252
5.981 8.976 5.729
4.986 7.024 3.292
5.251 3.529 9.030
7.808 10.883 4.746
5.035 4.607 1.246
6.899 5.220 7.685
9.084 9.884 8.027
4.461 1.197 1.094
7.686 8.304 3.715
6.024 3.466 3.451
8.796 7.393 6.942
7.498 5.373 2.150
10.269 9.300 5.641
8.608 4.461 5.377
11.833 11.569 7.998
7.210 2.882 1.065
9.395 7.546 1.407
11.259 8.159 7.846
8.486 1.883 4.346
11.043 9.237 0.062
11.308 5.741 5.800
10.313 3.790 3.363
10.545 2.665 5.840
12.188 8.289 3.486
13.898 9.853 8.355
12.514 5.087 8.025
12.261 5.815 2.678
6.897 11.521 7.470
9.397 1.245 1.623
```

**Energy relative to the elements**: -102.42 eV per formula unit
**Corrected total energy (MP2020 scheme)**: -7.014 eV per atom
**Theoretical density**: 6.11 g/cm³

***

| no. | total DFT energy (no corrections) (eV/atom) |
| --- | --- |
| 1 | -5.834 |
| 2 | -4.953 |
| 3 | -6.355 |